Entry 1:
Entry from the Materials Project database: KErP4H4O18 after structural relaxation (PBE).

Values from the calculation:
E_form in eV/atom: -1.980
Theoretical density in g cm⁻³: 2.51
Offset from the most stable computed form in eV per atom: 0.012
Crystal system: triclinic

abc: 7.5196 7.5274 15.0859
angles: 91.44 92.46 104.84
With the nearest neighbours (Å) after each atom.
Atoms (fractional coordinates):
K (0.0311, 0.4689, 0.2489)  2 O 2.63
K (0.9689, 0.5311, 0.7511)  2 O 2.63
Er (0.4178, 0.0785, 0.7491)  6 O 2.24-2.33
Er (0.5822, 0.9215, 0.2509)  6 O 2.24-2.33
P (0.2807, 0.0247, 0.0862)  4 O 1.49-1.64
P (0.2858, 0.8193, 0.4271)  4 O 1.50-1.59
P (0.3182, 0.7852, 0.9279)  4 O 1.51-1.59
P (0.4754, 0.2202, 0.4126)  4 O 1.49-1.64
P (0.5246, 0.7798, 0.5874)  4 O 1.49-1.64
P (0.6818, 0.2148, 0.0721)  4 O 1.51-1.59
P (0.7142, 0.1807, 0.5729)  4 O 1.50-1.59
P (0.7193, 0.9753, 0.9138)  4 O 1.49-1.64
H (0.0159, 0.2061, 0.6151)  1 O 1.08
H (0.0663, 0.2264, 0.4190)  1 O 0.98
H (0.2722, 0.4332, 0.0809)  1 O 0.98
H (0.2929, 0.4792, 0.8851)  1 O 1.13
H (0.7071, 0.5208, 0.1149)  1 O 1.13
H (0.7278, 0.5668, 0.9191)  1 O 0.98
H (0.9337, 0.7736, 0.5810)  1 O 0.98
H (0.9841, 0.7939, 0.3849)  1 O 1.08
O (0.0750, 0.7521, 0.4329)  1 H 1.08
O (0.0882, 0.2157, 0.3555)  1 H 0.98
O (0.1319, 0.1225, 0.0838)  1 P 1.49
O (0.1498, 0.1664, 0.6741)  1 O 1.35, 1 H 1.41
O (0.2285, 0.8617, 0.0084)  2 P 1.58-1.64
O (0.2416, 0.0793, 0.6201)  1 O 1.35
O (0.2511, 0.5759, 0.9341)  1 H 1.13
O (0.2737, 0.8590, 0.8400)  1 P 1.51
O (0.2838, 0.4124, 0.1447)  1 H 0.98
O (0.3227, 0.3563, 0.8289)  1 H 1.31, 1 O 1.34
O (0.3313, 0.9401, 0.1698)  1 P 1.50
O (0.3449, 0.0334, 0.4512)  2 P 1.59-1.63
O (0.3572, 0.7747, 0.3399)  1 P 1.50
O (0.3602, 0.7283, 0.5088)  2 P 1.58-1.64
O (0.3775, 0.3690, 0.4148)  1 P 1.49
O (0.4273, 0.2666, 0.8751)  1 O 1.34
O (0.4405, 0.8285, 0.6702)  1 P 1.50
O (0.4666, 0.1557, 0.0476)  2 P 1.59-1.63
O (0.5334, 0.8443, 0.9524)  2 P 1.59-1.63
O (0.5595, 0.1715, 0.3298)  1 P 1.50
O (0.5727, 0.7334, 0.1249)  1 O 1.34
O (0.6225, 0.6310, 0.5852)  1 P 1.49
O (0.6398, 0.2717, 0.4912)  2 P 1.58-1.64
O (0.6428, 0.2253, 0.6601)  1 P 1.50
O (0.6551, 0.9666, 0.5488)  2 P 1.59-1.63
O (0.6687, 0.0599, 0.8302)  1 P 1.50
O (0.6773, 0.6437, 0.1711)  1 H 1.31, 1 O 1.34
O (0.7162, 0.5876, 0.8553)  1 H 0.98
O (0.7263, 0.1410, 0.1600)  1 P 1.51
O (0.7489, 0.4241, 0.0659)  1 H 1.13
O (0.7584, 0.9207, 0.3799)  1 O 1.35
O (0.7715, 0.1383, 0.9916)  2 P 1.58-1.64
O (0.8502, 0.8336, 0.3259)  1 O 1.35, 1 H 1.41
O (0.8681, 0.8775, 0.9162)  1 P 1.49
O (0.9118, 0.7843, 0.6445)  1 H 0.98
O (0.9250, 0.2479, 0.5671)  1 H 1.08

Entry 2:
Entry from the Materials Project database: KErHSe2O9 after structural relaxation (PBE).

Values from the calculation:
E_form in eV/atom: -1.773
Theoretical density in g cm⁻³: 3.99
Crystal system: triclinic

abc: 5.7617 8.6122 9.4036
angles: 70.29 84.26 74.65
With the nearest neighbours (Å) after each atom.
Atoms (fractional coordinates):
K (0.2352, 0.2790, 0.4834)  5 O 2.72-2.99
K (0.7648, 0.7210, 0.5166)  5 O 2.72-2.99
Er (0.3559, 0.8691, 0.8940)  7 O 2.24-2.41
Er (0.6441, 0.1309, 0.1060)  7 O 2.24-2.41
H (0.3251, 0.6022, 0.7609)  1 O 1.00
H (0.6749, 0.3978, 0.2391)  1 O 1.00
Se (0.1132, 0.3272, 0.8697)  4 O 1.65-1.69
Se (0.2167, 0.9488, 0.2839)  4 O 1.64-1.70
Se (0.7833, 0.0512, 0.7161)  4 O 1.64-1.70
Se (0.8868, 0.6728, 0.1303)  4 O 1.65-1.69
O (0.0656, 0.9334, 0.7084)  1 Se 1.68
O (0.0973, 0.5040, 0.7255)  1 Se 1.65, 1 H 1.85
O (0.1496, 0.6805, 0.0392)  1 Se 1.67
O (0.1993, 0.1626, 0.8013)  1 Se 1.69
O (0.2582, 0.7523, 0.3992)  1 Se 1.64
O (0.2877, 0.9665, 0.1002)  1 Se 1.70
O (0.3136, 0.3189, 0.9908)  1 Se 1.67
O (0.4103, 0.0451, 0.3232)  1 Se 1.69
O (0.4543, 0.6572, 0.7680)  1 H 1.00
O (0.5457, 0.3428, 0.2320)  1 H 1.00
O (0.5897, 0.9549, 0.6768)  1 Se 1.69
O (0.6864, 0.6811, 0.0092)  1 Se 1.67
O (0.7123, 0.0335, 0.8998)  1 Se 1.70
O (0.7418, 0.2477, 0.6008)  1 Se 1.64
O (0.8007, 0.8374, 0.1987)  1 Se 1.69
O (0.8504, 0.3195, 0.9608)  1 Se 1.67
O (0.9027, 0.4960, 0.2745)  1 Se 1.65, 1 H 1.85
O (0.9344, 0.0666, 0.2916)  1 Se 1.68

The highest theoretical density belongs to which entry? KErHSe2O9

Repeat the second record exactly.
Entry from the Materials Project database: KErHSe2O9 after structural relaxation (PBE).

Values from the calculation:
E_form in eV/atom: -1.773
Theoretical density in g cm⁻³: 3.99
Crystal system: triclinic

abc: 5.7617 8.6122 9.4036
angles: 70.29 84.26 74.65
With the nearest neighbours (Å) after each atom.
Atoms (fractional coordinates):
K (0.2352, 0.2790, 0.4834)  5 O 2.72-2.99
K (0.7648, 0.7210, 0.5166)  5 O 2.72-2.99
Er (0.3559, 0.8691, 0.8940)  7 O 2.24-2.41
Er (0.6441, 0.1309, 0.1060)  7 O 2.24-2.41
H (0.3251, 0.6022, 0.7609)  1 O 1.00
H (0.6749, 0.3978, 0.2391)  1 O 1.00
Se (0.1132, 0.3272, 0.8697)  4 O 1.65-1.69
Se (0.2167, 0.9488, 0.2839)  4 O 1.64-1.70
Se (0.7833, 0.0512, 0.7161)  4 O 1.64-1.70
Se (0.8868, 0.6728, 0.1303)  4 O 1.65-1.69
O (0.0656, 0.9334, 0.7084)  1 Se 1.68
O (0.0973, 0.5040, 0.7255)  1 Se 1.65, 1 H 1.85
O (0.1496, 0.6805, 0.0392)  1 Se 1.67
O (0.1993, 0.1626, 0.8013)  1 Se 1.69
O (0.2582, 0.7523, 0.3992)  1 Se 1.64
O (0.2877, 0.9665, 0.1002)  1 Se 1.70
O (0.3136, 0.3189, 0.9908)  1 Se 1.67
O (0.4103, 0.0451, 0.3232)  1 Se 1.69
O (0.4543, 0.6572, 0.7680)  1 H 1.00
O (0.5457, 0.3428, 0.2320)  1 H 1.00
O (0.5897, 0.9549, 0.6768)  1 Se 1.69
O (0.6864, 0.6811, 0.0092)  1 Se 1.67
O (0.7123, 0.0335, 0.8998)  1 Se 1.70
O (0.7418, 0.2477, 0.6008)  1 Se 1.64
O (0.8007, 0.8374, 0.1987)  1 Se 1.69
O (0.8504, 0.3195, 0.9608)  1 Se 1.67
O (0.9027, 0.4960, 0.2745)  1 Se 1.65, 1 H 1.85
O (0.9344, 0.0666, 0.2916)  1 Se 1.68

What is the formula in the first record? KErP4H4O18

The lowest theoretical density belongs to which entry? KErP4H4O18